CrP5O15: optimized geometry, PBE+U.

Output
Energy of formation = -2.3448 eV/atom
Total energy after the MP2020 corrections = -160.18 eV per formula unit
Calculated volume = 14.6 Å³/atom
ΔE to the lowest computed polymorph = 0.4 kJ/mol of atoms

Lattice parameters (Å, degrees): 5.0909 13.7081 8.9459 90.00 101.43 90.00
With the nearest neighbours (Å) after each atom.
Space group P2_1/m (No. 11)
One atom of each set of equivalent atoms:
Cr  0.0000  0.0000  0.0000 (multiplicity 2)  6 O 1.91-1.99
P  0.0454  0.2500  0.4992 (multiplicity 2)  4 O 1.51-1.61
P  0.1545  0.5785  0.6880 (multiplicity 4)  4 O 1.47-1.64
P  0.4965  0.6416  0.9802 (multiplicity 4)  4 O 1.51-1.60
O  0.0028  0.5181  0.7891 (multiplicity 4)  1 P 1.54
O  0.0599  0.1605  0.3853 (multiplicity 4)  2 P 1.61
O  0.2020  0.7500  0.4309 (multiplicity 2)  1 P 1.51
O  0.2050  0.1231  0.9999 (multiplicity 4)  1 P 1.52
O  0.2819  0.2500  0.6320 (multiplicity 2)  1 P 1.51
O  0.2872  0.5259  0.5801 (multiplicity 4)  1 P 1.47
O  0.3411  0.5736  0.0632 (multiplicity 4)  1 P 1.51
O  0.3671  0.6474  0.8036 (multiplicity 4)  2 P 1.59-1.64
O  0.4583  0.7500  0.0378 (multiplicity 2)  2 P 1.60